1.
Entry from the Materials Project: a relaxed structure of LaNi12B6 (PBE).

a b c (Å): 9.602 7.403 11.062
angles (deg): 90.00 90.00 90.00
Space group Cmc2_1 (No. 36)
Unique sites:
La 0.000 0.167 0.000 x4
Ni 0.000 0.223 0.400 x4
Ni 0.000 0.430 0.584 x4
Ni 0.132 0.343 0.225 x8
Ni 0.133 0.014 0.244 x8
Ni 0.133 0.327 0.765 x8
Ni 0.182 0.188 0.563 x8
Ni 0.191 0.465 0.433 x8
B 0.000 0.164 0.668 x4
B 0.000 0.486 0.339 x4
B 0.205 0.192 0.378 x8
B 0.213 0.462 0.614 x8

***

2.
Entry from the Materials Project: a relaxed structure of La2Ni6B3 (PBE).

a b c (Å): 5.230 6.801 8.260
angles (deg): 90.00 90.00 90.00
Space group Imm2 (No. 44)
Unique sites:
La 0.000 0.000 0.000 x2
La 0.000 0.500 0.113 x2
Ni 0.000 0.240 0.562 x4
Ni 0.249 0.188 0.310 x8
B 0.000 0.000 0.418 x2
B 0.000 0.500 0.452 x2
B 0.000 0.500 0.691 x2

***

3.
Entry from the Materials Project: a relaxed structure of La26B8O51 (PBE).

a b c (Å): 6.956 13.008 14.709
angles (deg): 90.07 99.36 90.31
Space group P1 (No. 1)
Unique sites:
La 0.000 0.000 0.000 x1
La 0.000 0.497 0.500 x1
La 0.059 0.282 0.700 x1
La 0.063 0.209 0.203 x1
La 0.151 0.189 0.471 x1
La 0.156 0.307 0.971 x1
La 0.232 0.998 0.668 x1
La 0.239 0.498 0.169 x1
La 0.291 0.615 0.939 x1
La 0.323 0.886 0.442 x1
La 0.373 0.698 0.655 x1
La 0.377 0.798 0.164 x1
La 0.482 0.886 0.913 x1
La 0.484 0.608 0.414 x1
La 0.513 0.386 0.586 x1
La 0.514 0.104 0.088 x1
La 0.625 0.195 0.841 x1
La 0.626 0.299 0.345 x1
La 0.677 0.109 0.559 x1
La 0.684 0.373 0.070 x1
La 0.769 0.997 0.333 x1
La 0.776 0.487 0.817 x1
La 0.848 0.807 0.530 x1
La 0.855 0.704 0.038 x1
La 0.935 0.787 0.798 x1
La 0.945 0.710 0.302 x1
B 0.138 0.095 0.839 x1
B 0.138 0.401 0.337 x1
B 0.329 0.049 0.290 x1
B 0.334 0.446 0.795 x1
B 0.669 0.549 0.208 x1
B 0.671 0.947 0.712 x1
B 0.862 0.902 0.163 x1
B 0.863 0.597 0.662 x1
O 0.011 0.648 0.631 x1
O 0.011 0.850 0.131 x1
O 0.028 0.134 0.607 x1
O 0.038 0.361 0.107 x1
O 0.154 0.431 0.826 x1
O 0.156 0.989 0.849 x1
O 0.157 0.508 0.347 x1
O 0.158 0.067 0.326 x1
O 0.164 0.343 0.569 x1
O 0.165 0.153 0.070 x1
O 0.186 0.655 0.090 x1
O 0.188 0.842 0.591 x1
O 0.260 0.757 0.826 x1
O 0.266 0.347 0.292 x1
O 0.268 0.149 0.793 x1
O 0.274 0.735 0.320 x1
O 0.337 0.043 0.534 x1
O 0.342 0.552 0.550 x1
O 0.345 0.940 0.049 x1
O 0.360 0.459 0.030 x1
O 0.406 0.951 0.286 x1
O 0.427 0.131 0.258 x1
O 0.427 0.366 0.759 x1
O 0.427 0.542 0.804 x1
O 0.485 0.247 0.984 x1
O 0.486 0.247 0.482 x1
O 0.514 0.748 0.519 x1
O 0.520 0.736 0.014 x1
O 0.572 0.865 0.744 x1
O 0.573 0.630 0.242 x1
O 0.595 0.045 0.715 x1
O 0.595 0.450 0.215 x1
O 0.657 0.051 0.952 x1
O 0.658 0.444 0.453 x1
O 0.663 0.952 0.468 x1
O 0.728 0.263 0.683 x1
O 0.729 0.237 0.175 x1
O 0.734 0.845 0.207 x1
O 0.735 0.649 0.709 x1
O 0.808 0.353 0.915 x1
O 0.812 0.153 0.411 x1
O 0.832 0.567 0.165 x1
O 0.836 0.652 0.432 x1
O 0.839 0.844 0.932 x1
O 0.842 0.928 0.676 x1
O 0.843 0.008 0.154 x1
O 0.843 0.489 0.654 x1
O 0.938 0.626 0.901 x1
O 0.971 0.860 0.393 x1
O 0.990 0.348 0.370 x1
O 0.991 0.149 0.871 x1

***

4.
Entry from the Materials Project: a relaxed structure of LaBO3 (PBE).

a b c (Å): 4.188 5.131 6.428
angles (deg): 90.00 108.31 90.00
Space group P2_1/m (No. 11)
Unique sites:
La 0.117 0.250 0.276 x2
B 0.499 0.250 0.754 x2
O 0.172 0.750 0.111 x2
O 0.343 0.017 0.671 x4

***

5.
Entry from the Materials Project: a relaxed structure of LaB3O6 (PBE).

a b c (Å): 4.276 11.834 7.352
angles (deg): 90.00 91.21 90.00
Space group P2_1/c (No. 14)
Unique sites:
La 0.216 0.123 0.380 x4
B 0.196 0.094 0.874 x4
B 0.311 0.622 0.428 x4
B 0.323 0.666 0.789 x4
O 0.152 0.628 0.611 x4
O 0.205 0.524 0.319 x4
O 0.220 0.716 0.308 x4
O 0.250 0.591 0.938 x4
O 0.334 0.167 0.736 x4
O 0.350 0.120 0.046 x4

energy above the most stable polymorph in this dataset	11	meV per atom

***

6.
Entry from the Materials Project: a relaxed structure of La2B4O9 (PBE).

a b c (Å): 6.394 6.742 7.763
angles (deg): 101.60 96.62 102.41
Space group P-1 (No. 2)
Unique sites:
La 0.044 0.093 0.282 x2
La 0.386 0.678 0.356 x2
B 0.128 0.359 0.658 x2
B 0.162 0.672 0.924 x2
B 0.226 0.337 0.981 x2
B 0.495 0.155 0.182 x2
O 0.005 0.775 0.012 x2
O 0.048 0.536 0.751 x2
O 0.069 0.809 0.434 x2
O 0.257 0.269 0.795 x2
O 0.269 0.563 0.035 x2
O 0.276 0.407 0.531 x2
O 0.315 0.854 0.885 x2
O 0.358 0.278 0.132 x2
O 0.439 0.056 0.316 x2

***

7.
Entry from the Materials Project: a relaxed structure of La3B5O12 (PBE).

a b c (Å): 6.634 8.057 18.323
angles (deg): 90.00 90.00 90.00
Space group Pnma (No. 62)
Unique sites:
La 0.010 0.250 0.180 x4
La 0.018 0.511 0.601 x8
B 0.066 0.750 0.113 x4
B 0.123 0.599 0.235 x8
B 0.159 0.750 0.980 x4
B 0.215 0.250 0.985 x4
O 0.040 0.250 0.038 x4
O 0.092 0.750 0.272 x4
O 0.123 0.597 0.159 x8
O 0.136 0.250 0.909 x4
O 0.149 0.044 0.272 x8
O 0.167 0.600 0.497 x8
O 0.172 0.750 0.653 x4
O 0.212 0.250 0.421 x4
O 0.221 0.750 0.053 x4

***

8.
Entry from the Materials Project: a relaxed structure of LaB5O9 (PBE).

a b c (Å): 6.505 11.824 8.263
angles (deg): 90.00 105.28 90.00
Space group P2_1/c (No. 14)
Unique sites:
La 0.250 0.174 0.140 x4
B 0.019 0.598 0.726 x4
B 0.211 0.055 0.454 x4
B 0.274 0.749 0.331 x4
B 0.312 0.630 0.592 x4
B 0.353 0.036 0.755 x4
O 0.084 0.613 0.569 x4
O 0.087 0.699 0.836 x4
O 0.102 0.010 0.302 x4
O 0.219 0.098 0.826 x4
O 0.257 0.168 0.451 x4
O 0.280 0.511 0.097 x4
O 0.363 0.661 0.435 x4
O 0.389 0.722 0.719 x4
O 0.434 0.526 0.661 x4

***

| no. | calculated total energy (eV per atom) | ΔH_f (0 K) (eV/f.u.) |
| --- | --- | --- |
| 1 | -6.422 | -7.64 |
| 2 | -6.197 | -3.58 |
| 3 | -8.409 | -315.65 |
| 4 | -8.394 | -17.57 |
| 5 | -8.234 | -31.80 |
| 6 | -8.292 | -49.44 |
| 7 | -8.258 | -65.82 |
| 8 | -8.195 | -46.24 |